*P*
The following is a GGA-PBE calculation of an optimized crystal structure of Sr2CuS2Cl2, from Materials Project.

Cell and atoms, written as CIF:
```
data_Sr2CuS2Cl2
_chemical_formula_sum 'Sr2 Cu1 S2 Cl2'
_cell_length_a 8.1865
_cell_length_b 8.1865
_cell_length_c 8.1865
_cell_angle_alpha 146.47
_cell_angle_beta 146.47
_cell_angle_gamma 48.15
_space_group_name_H-M_alt 'P 1'
_space_group_IT_number 1
_space_group_name_Hall 'P 1'
loop_
_atom_site_label
_atom_site_type_symbol
_atom_site_fract_x
_atom_site_fract_y
_atom_site_fract_z
S1 S 0.8394 0.8394 0.0000
Sr1 Sr 0.3526 0.3526 0.0000
Cl1 Cl 0.5000 0.0000 0.5000
S2 S 0.1606 0.1606 0.0000
Cu1 Cu 0.0000 0.0000 0.0000
Sr2 Sr 0.6474 0.6474 0.0000
Cl2 Cl 0.0000 0.5000 0.5000
```

---

*Q*
The following is a GGA-PBE calculation of an optimized crystal structure of Sr2CuS2Cl2, from Materials Project.

Cell and atoms, written as CIF:
```
data_Sr2CuS2Cl2
_chemical_formula_sum 'Sr2 Cu1 S2 Cl2'
_cell_length_a 8.6737
_cell_length_b 8.6737
_cell_length_c 8.6737
_cell_angle_alpha 149.18
_cell_angle_beta 149.18
_cell_angle_gamma 44.14
_space_group_name_H-M_alt 'P 1'
_space_group_IT_number 1
_space_group_name_Hall 'P 1'
loop_
_atom_site_label
_atom_site_type_symbol
_atom_site_fract_x
_atom_site_fract_y
_atom_site_fract_z
Cu1 Cu 0.0000 0.0000 0.0000
Cl1 Cl 0.8100 0.8100 0.0000
S1 S 0.0000 0.5000 0.5000
S2 S 0.5000 0.0000 0.5000
Sr1 Sr 0.6251 0.6251 0.0000
Sr2 Sr 0.3749 0.3749 0.0000
Cl2 Cl 0.1900 0.1900 0.0000
```

---

Most stable structure, least stable structure: *Q*, *P*.